A plane-wave DFT calculation with GGA-PBE was carried out for crystalline CsBaVS4 at its relaxed geometry.

ΔH_f (0 K) = -1682 meV per atom

```
CsBaVS4
1.0
6.959 0.000 0.000
0.000 10.156 0.000
0.000 0.000 12.155
Cs Ba V S
4 4 4 16
direct
0.250 0.867 0.934
0.250 0.633 0.434
0.750 0.133 0.066
0.750 0.367 0.566
0.250 0.405 0.850
0.250 0.095 0.350
0.750 0.595 0.150
0.750 0.905 0.650
0.250 0.119 0.669
0.250 0.381 0.169
0.750 0.881 0.331
0.750 0.619 0.831
0.499 0.132 0.774
0.001 0.368 0.274
0.999 0.868 0.226
0.501 0.632 0.726
0.501 0.868 0.226
0.999 0.632 0.726
0.001 0.132 0.774
0.499 0.368 0.274
0.250 0.288 0.561
0.250 0.212 0.061
0.750 0.712 0.439
0.750 0.788 0.939
0.250 0.937 0.578
0.250 0.563 0.078
0.750 0.063 0.422
0.750 0.437 0.922
```